TlF | GGA-PBE | relaxed

Calculated volume = 24.322 Å³ per atom
Calculated total energy = -7.746 eV/f.u.
ΔH_f (0 K) = -1.965 eV per atom
Energy above the lowest structure with this stoichiometry = 0.000 eV/atom
Energy with MP2020 corrections = -8.2 eV/f.u.

```
data_TlF
_chemical_formula_sum 'Tl4 F4'
_cell_length_a 6.386
_cell_length_b 5.817
_cell_length_c 5.237
_cell_angle_alpha 90.00
_cell_angle_beta 90.00
_cell_angle_gamma 90.00
_space_group_name_H-M_alt 'P b c m'
_space_group_IT_number 57
loop_
_space_group_symop_operation_xyz
'x,y,z'
'-x,-y,-z'
'-x,-y,z+1/2'
'x,y,-z+1/2'
'x,-y+1/2,-z'
'-x,y+1/2,z'
'-x,y+1/2,-z+1/2'
'x,-y+1/2,z+1/2'
loop_
_atom_site_label
_atom_site_type_symbol
_atom_site_fract_x
_atom_site_fract_y
_atom_site_fract_z
Tl1 Tl 0.242 0.002 0.250
F1 F 0.143 0.576 0.250
```